Entry 1:
DFT (PBE) results for a relaxed CsP2H3O6 crystal.

abc: 7.493 7.705 7.977
angles: 87.72 64.76 61.34
Space group P-1 (No. 2)
Inequivalent atoms, fractional coordinates:
Cs: 0.039 0.295 0.264
P: 0.353 0.020 0.633
P: 0.453 0.578 0.139
H: 0.076 0.796 0.257
H: 0.391 0.198 0.815
H: 0.494 0.675 0.681
O: 0.136 0.201 0.642
O: 0.235 0.792 0.187
O: 0.347 0.406 0.877
O: 0.350 0.822 0.643
O: 0.373 0.460 0.290
O: 0.408 0.058 0.795

## Properties
Its magnetic moment is 0.000 μB per atom. As for the formation energy from the elements: -2061.0 meV/atom. The total energy after the MP2020 corrections is -152.641 eV per cell.



Entry 2:
DFT (PBE) results for a relaxed BaO2 crystal.

abc: 3.875 7.921 3.664
angles: 90.00 90.00 90.00
Space group Cmmm (No. 65)
Inequivalent atoms, fractional coordinates:
Ba: 0.000 0.000 0.000
O: 0.000 0.404 0.500

## Properties
Its magnetic moment is 0.000 μB per atom. As for the formation energy from the elements: -2050.2 meV/atom. The total energy after the MP2020 corrections is -35.931 eV per cell.



Entry 3:
DFT (PBE) results for a relaxed B crystal.

abc: 10.4358 10.4358 29.7515
angles: 90.00 90.00 120.00
Space group R-3m (No. 166, hexagonal axes)
Inequivalent atoms, fractional coordinates:
B: 0.0014 0.1614 0.3657
B: 0.0026 0.2687 0.4431
B: 0.0050 0.2253 0.0289
B: 0.0163 0.5081 0.3296
B: 0.0313 0.5156 0.2718
B: 0.0321 0.5160 0.7804
B: 0.0436 0.2547 0.8139
B: 0.0558 0.1117 0.1062
B: 0.0566 0.5283 0.8769
B: 0.0633 0.5317 0.0761
B: 0.0768 0.5384 0.5363
B: 0.0909 0.1819 0.4639
B: 0.0962 0.1925 0.5226
B: 0.1022 0.2043 0.9317

## Properties
Its magnetic moment is 0.000 μB per atom. As for the formation energy from the elements: 709.1 meV/atom. As for the energy above the most stable polymorph in this dataset: 709.1 meV per atom.